1.
Computed, not measured: a relaxed structure of Bi3PO7 at the meta-GGA r2SCAN level of DFT.

Calculated values
- space-group type = Cm, No. 8
- E (eV per atom) = -22.353

Lattice parameters (Å, degrees): 9.280 9.280 11.925 76.97 76.97 92.92
Sites, in units of the cell vectors:
O 0.252 0.749 0.329
O 0.395 0.947 0.771
O 0.105 0.572 0.552
O 0.903 0.713 0.432
O 0.495 0.495 0.352
O 0.433 0.624 0.782
O 0.573 0.573 0.942
O 0.086 0.586 0.226
O 0.390 0.942 0.444
O 0.314 0.314 0.253
O 0.380 0.380 0.932
O 0.957 0.957 0.284
O 0.843 0.843 0.863
O 0.751 0.251 0.989
O 0.081 0.273 0.988
O 0.586 0.086 0.226
O 0.572 0.105 0.552
O 0.256 0.064 0.227
O 0.959 0.959 0.644
O 0.749 0.252 0.329
O 0.877 0.686 0.716
O 0.651 0.460 0.499
O 0.064 0.256 0.227
O 0.127 0.127 0.417
O 0.437 0.900 0.108
O 0.942 0.390 0.444
O 0.713 0.903 0.432
O 0.686 0.877 0.716
O 0.588 0.085 0.886
O 0.273 0.081 0.988
O 0.023 0.023 0.961
O 0.210 0.210 0.798
O 0.765 0.232 0.662
O 0.251 0.751 0.989
O 0.765 0.765 0.272
O 0.460 0.651 0.499
O 0.947 0.395 0.771
O 0.232 0.765 0.662
O 0.624 0.433 0.782
O 0.085 0.588 0.886
O 0.378 0.378 0.571
O 0.900 0.437 0.108
Bi 0.494 0.843 0.607
Bi 0.835 0.500 0.919
Bi 0.500 0.835 0.919
Bi 0.193 0.499 0.714
Bi 0.481 0.156 0.054
Bi 0.857 0.181 0.161
Bi 0.145 0.838 0.501
Bi 0.187 0.499 0.378
Bi 0.499 0.187 0.378
Bi 0.838 0.145 0.501
Bi 0.181 0.857 0.161
Bi 0.837 0.502 0.296
Bi 0.502 0.837 0.296
Bi 0.150 0.838 0.837
Bi 0.843 0.494 0.607
Bi 0.499 0.193 0.714
Bi 0.838 0.150 0.837
Bi 0.156 0.481 0.054
P 0.187 0.187 0.283
P 0.150 0.150 0.932
P 0.503 0.503 0.858
P 0.834 0.834 0.357
P 0.840 0.840 0.735
P 0.497 0.497 0.480



2.
Computed, not measured: a relaxed structure of SrTiO3 at the meta-GGA r2SCAN level of DFT.

Calculated values
- space-group type = R-3, No. 148
- E (eV per atom) = -12.518

Lattice parameters (Å, degrees): 6.136 6.136 6.136 52.07 52.07 52.07
Sites, in units of the cell vectors:
O 0.565 0.160 0.992
O 0.840 0.008 0.435
O 0.160 0.992 0.565
O 0.992 0.565 0.160
O 0.008 0.435 0.840
O 0.435 0.840 0.008
Sr 0.369 0.369 0.369
Sr 0.631 0.631 0.631
Ti 0.154 0.154 0.154
Ti 0.846 0.846 0.846



3.
Computed, not measured: a relaxed structure of LiYbO2 at the meta-GGA r2SCAN level of DFT.

Calculated values
- space-group type = I4_1/amd, No. 141
- E (eV per atom) = -16.030

Lattice parameters (Å, degrees): 5.829 5.829 5.829 136.20 136.20 63.67
Sites, in units of the cell vectors:
O 0.476 0.976 0.500
O 0.274 0.274 0.000
O 0.726 0.726 0.000
O 0.024 0.524 0.500
Li 0.750 0.250 0.500
Li 0.000 0.000 0.000
Yb 0.250 0.750 0.500
Yb 0.500 0.500 0.000



4.
Computed, not measured: a relaxed structure of LuVO4 at the meta-GGA r2SCAN level of DFT.

Calculated values
- space-group type = I4_1/amd, No. 141
- E (eV per atom) = -15.972

Lattice parameters (Å, degrees): 5.827 5.827 5.827 106.49 106.49 115.62
Sites, in units of the cell vectors:
O 0.866 0.677 0.188
O 0.927 0.239 0.312
O 0.489 0.677 0.812
O 0.761 0.073 0.688
O 0.384 0.073 0.312
O 0.323 0.134 0.812
O 0.927 0.616 0.688
O 0.323 0.511 0.188
Lu 0.000 0.000 0.000
Lu 0.250 0.750 0.500
V 0.500 0.500 0.000
V 0.750 0.250 0.500